DFT (PBE+U) results for crystalline La11Mn12O36 at its relaxed geometry.

abc: 7.8658 23.5922 7.8944
angles: 90.00 90.29 90.00
Space group P2_1/m (No. 11)
One atom of each set of equivalent atoms:
La1 0.2317 0.2500 0.2413 x2
La2 0.2362 0.5843 0.2401 x4
La3 0.2441 0.5874 0.7351 x4
La4 0.2533 0.2500 0.7377 x2
La5 0.2574 0.0857 0.2566 x4
La6 0.2592 0.0839 0.7632 x4
La7 0.2615 0.7500 0.2555 x2
Mn1 0.0000 0.0000 0.0000 x2
Mn2 0.0000 0.0000 0.5000 x2
Mn3 0.0000 0.1679 0.4995 x4
Mn4 0.0026 0.6676 0.9985 x4
Mn5 0.4968 0.6681 0.5023 x4
Mn6 0.4967 0.6680 0.9972 x4
Mn7 0.5000 0.0000 0.0000 x2
Mn8 0.5000 0.0000 0.5000 x2
O1 0.0045 0.1723 0.2495 x4
O2 0.0191 0.7500 0.4453 x2
O3 0.0232 0.0130 0.7515 x4
O4 0.0228 0.1529 0.7508 x4
O5 0.0314 0.0827 0.4645 x4
O6 0.0429 0.5823 0.9690 x4
O7 0.0438 0.2500 0.9685 x2
O8 0.2486 0.6521 0.4769 x4
O9 0.2500 0.0143 0.0252 x4
O10 0.2496 0.5141 0.4781 x4
O11 0.2496 0.6737 0.0405 x4
O12 0.2512 0.1526 0.0143 x4
O13 0.2512 0.1792 0.4826 x4
O14 0.4479 0.2500 0.0197 x2
O15 0.4577 0.0818 0.5302 x4
O16 0.4687 0.5820 0.0397 x4
O17 0.4726 0.7500 0.5027 x2
O18 0.4735 0.5135 0.7500 x4
O19 0.4793 0.1757 0.7506 x4
O20 0.4914 0.6508 0.7499 x4

Results
E_form: -2910 meV per atom
Relative energy among the computed polymorphs: 3 meV/atom
Crystal system: monoclinic
Magnetic moment: 45.00 μB per formula unit
Total energy: -7.955 eV/atom